Computed, not measured: a relaxed structure of Cs2Pr10Os2I17 at the PBE level of DFT.

It has space group C2/m (No. 12), with a = 13.930 Å, b = 19.204 Å, c = 10.139 Å, α = 90.00°, β = 95.96° and γ = 90.00°. The asymmetric unit holds Cs at (0.000, 0.174, 0.000), Pr at (0.064, 0.500, 0.682), Pr at (0.143, 0.351, 0.427), Pr at (0.171, 0.000, 0.445), Pr at (0.207, 0.500, 0.183), Os at (0.141, 0.500, 0.430), I at (0.000, 0.500, 0.000), I at (0.064, 0.000, 0.717), I at (0.073, 0.327, 0.724), I at (0.142, 0.169, 0.421), I at (0.211, 0.000, 0.133) and I at (0.217, 0.333, 0.140).

As for the size of the total moment: 2.72 μB/f.u. The value obtained for the corrected total energy (MP2020 scheme) is -4.619 eV/atom.

Computed, not measured: a relaxed structure of CsPb2I5 at the PBE level of DFT.

It has space group I4/mcm (No. 140), with a = 9.199 Å, b = 9.199 Å, c = 16.833 Å, α = 90.00°, β = 90.00° and γ = 90.00°. The asymmetric unit holds Cs at (0.000, 0.000, 0.250), Pb at (0.167, 0.333, 0.000), I at (0.000, 0.000, 0.000) and I at (0.154, 0.346, 0.373).

As for the size of the total moment: 0.00 μB/f.u. The value obtained for the corrected total energy (MP2020 scheme) is -3.091 eV/atom.

Computed, not measured: a relaxed structure of CsPbI3 at the PBE level of DFT.

It has space group Pm-3m (No. 221), with a = 6.414 Å, b = 6.414 Å, c = 6.414 Å, α = 90.00°, β = 90.00° and γ = 90.00°. The asymmetric unit holds Cs at (0.000, 0.000, 0.000), Pb at (0.500, 0.500, 0.500) and I at (0.000, 0.500, 0.500).

As for the size of the total moment: 0.00 μB/f.u. The value obtained for the corrected total energy (MP2020 scheme) is -3.077 eV/atom.

no.,energy of formation (eV per atom)
1,-1.46
2,-1.10
3,-1.24